This record from the Materials Project describes a geometry-optimized MgBi4O8 structure. The functional is PBE.

Calculated values
* electronic total energy: -5.614 eV per atom
* V: 218.9 Å³/cell
* size of the total moment: 0.000 μB per atom
* formation energy from the elements: -1.67 eV per atom
* energy above the most stable polymorph in this dataset: 64.3 meV per atom
* density: 7.50 g/cm³

Lattice parameters (Å, degrees): 7.003 7.003 10.607 63.17 63.17 28.39
Fractional coordinates of all 13 atoms:
1 Bi 0.123 0.123 0.563
2 Mg 0.696 0.696 0.797
3 O 0.874 0.874 0.735
4 O 0.549 0.549 0.767
5 O 0.845 0.845 0.015
6 O 0.121 0.121 0.309
7 O 0.443 0.443 0.310
8 O 0.732 0.732 0.439
9 Bi 0.630 0.630 0.177
10 Bi 0.883 0.883 0.462
11 Bi 0.372 0.372 0.872
12 O 0.196 0.196 0.932
13 O 0.242 0.242 0.647